[1]
Material: Sc2Mn2O7
Method: DFT, r2SCAN
State: optimized geometry

```
Sc2Mn2O7
1.0
5.8730 0.0000 3.3908
1.9577 5.5371 3.3908
0.0000 0.0000 6.7815
Sc Mn O
4 4 14
Direct
0.5000 0.5000 0.5000
0.5000 0.5000 0.0000
0.0000 0.5000 0.5000
0.5000 0.0000 0.5000
0.0000 0.0000 0.0000
0.0000 0.0000 0.5000
0.5000 0.0000 0.0000
0.0000 0.5000 0.0000
0.9156 0.9156 0.3344
0.6656 0.6656 0.0844
0.3344 0.9156 0.9156
0.9156 0.3344 0.9156
0.3344 0.9156 0.3344
0.9156 0.3344 0.3344
0.0844 0.0844 0.6656
0.0844 0.6656 0.0844
0.3750 0.3750 0.3750
0.6250 0.6250 0.6250
0.3344 0.3344 0.9156
0.6656 0.0844 0.0844
0.0844 0.6656 0.6656
0.6656 0.0844 0.6656
```

Calculated values
Energy relative to the elements (kJ per mole of atoms): -279.8

---

[2]
Material: MnSe2O5
Method: DFT, r2SCAN
State: optimized geometry

```
MnSe2O5
1.0
-3.5969 3.4974 2.8772
-4.4489 -4.4062 3.9256
7.0243 0.3510 8.3546
Mn Se O
4 8 20
Direct
0.2500 0.0000 0.0825
0.2500 0.5000 0.4175
0.7500 0.5000 0.5825
0.7500 0.0000 0.9175
0.4681 0.6495 0.8590
0.9681 0.1495 0.3590
0.0319 0.3505 0.8590
0.5319 0.8505 0.3590
0.5319 0.3505 0.1410
0.0319 0.8505 0.6410
0.9681 0.6495 0.1410
0.4681 0.1495 0.6410
0.7500 0.5000 0.9213
0.2500 0.0000 0.4213
0.2500 0.5000 0.0787
0.7500 0.0000 0.5787
0.5356 0.6884 0.7143
0.0356 0.1884 0.2143
0.9644 0.3116 0.7143
0.4644 0.8116 0.2143
0.4644 0.3116 0.2857
0.9644 0.8116 0.7857
0.0356 0.6884 0.2857
0.5356 0.1884 0.7857
0.9831 0.8463 0.0652
0.4831 0.3463 0.5652
0.5169 0.1537 0.0652
0.0169 0.6537 0.5652
0.0169 0.1537 0.9348
0.5169 0.6537 0.4348
0.4831 0.8463 0.9348
0.9831 0.3463 0.4348
```

Calculated values
E above lowest polymorph (eV/f.u.): 0.040
Energy relative to the elements (kJ per mole of atoms): -112.1

---

Number 1: final energy -251.746 eV per cell. Number 2: final energy -329.862 eV per cell.